# 1
Ca2WN2 PBE optimized geometry; space group = P-1; excess energy over the best structure of this formula in the dataset = 0.0328 eV per atom; total magnetic moment = 0.000 μB/cell
1.0
5.322 0.000 0.000
2.648 5.662 0.000
2.358 -1.030 6.065
Ca W N
4 2 4
Direct
0.080 0.081 0.221
0.296 0.286 0.665
0.704 0.714 0.335
0.920 0.919 0.779
0.410 0.433 0.190
0.590 0.567 0.810
0.178 0.708 0.397
0.416 0.890 0.772
0.584 0.110 0.228
0.822 0.292 0.603

=====

# 2
Ca3Y3N5 PBE optimized geometry; space group = P-1; total magnetic moment = 0.001 μB/cell; E = -79.7 eV/f.u.
1.0
6.776 0.000 0.000
-1.608 6.864 0.000
-1.618 -3.982 8.066
Ca Y N
6 6 10
Direct
0.078 0.437 0.326
0.249 0.102 0.039
0.385 0.931 0.636
0.615 0.069 0.364
0.751 0.898 0.961
0.922 0.563 0.674
0.036 0.896 0.306
0.278 0.580 0.050
0.400 0.378 0.610
0.600 0.622 0.390
0.722 0.420 0.950
0.964 0.104 0.694
0.026 0.230 0.495
0.041 0.737 0.975
0.326 0.754 0.332
0.330 0.262 0.850
0.407 0.283 0.328
0.593 0.717 0.672
0.670 0.738 0.150
0.674 0.246 0.668
0.959 0.263 0.025
0.974 0.770 0.505

=====

# 3
Ca7Zn2N6 PBE optimized geometry; space group = C2/m; total magnetic moment = 0.000 μB/cell; E = -75.7 eV/f.u.
1.0
3.529 -5.749 0.000
3.529 5.749 0.000
-0.236 0.000 6.108
Ca Zn N
7 2 6
Direct
0.000 0.000 0.000
0.147 0.853 0.500
0.196 0.514 0.176
0.486 0.804 0.824
0.514 0.196 0.176
0.804 0.486 0.824
0.853 0.147 0.500
0.314 0.314 0.639
0.686 0.686 0.361
0.137 0.456 0.774
0.183 0.183 0.322
0.456 0.137 0.774
0.544 0.863 0.226
0.817 0.817 0.678
0.863 0.544 0.226

=====

# 4
Ca7ZrN6 PBE optimized geometry; space group = Ibam; total magnetic moment = 0.004 μB/cell; E = -85.8 eV/f.u.
1.0
-3.198 5.897 6.537
3.198 -5.897 6.537
3.198 5.897 -6.537
Ca Zr N
14 2 12
Direct
0.042 0.219 0.261
0.107 0.492 0.841
0.151 0.992 0.385
0.250 0.250 0.000
0.349 0.734 0.841
0.393 0.234 0.385
0.458 0.719 0.177
0.542 0.281 0.823
0.607 0.766 0.615
0.651 0.266 0.159
0.750 0.750 0.000
0.849 0.008 0.615
0.893 0.508 0.159
0.958 0.781 0.739
0.250 0.750 0.500
0.750 0.250 0.500
0.062 0.872 0.592
0.157 0.879 0.036
0.221 0.628 0.191
0.279 0.470 0.408
0.343 0.379 0.722
0.438 0.030 0.809
0.562 0.970 0.191
0.657 0.621 0.278
0.721 0.530 0.592
0.779 0.372 0.809
0.843 0.121 0.964
0.938 0.128 0.408

=====

# 5
CaZrN2 PBE optimized geometry; space group = R-3m; E = -33.2 eV/f.u.
1.0
1.666 0.962 5.631
-1.666 0.962 5.631
0.000 -1.923 5.631
Ca Zr N
1 1 2
Direct
0.000 0.000 0.000
0.500 0.500 0.500
0.239 0.239 0.239
0.761 0.761 0.761

=====

# 6
Na2CaNbP3O12 PBE optimized geometry; total magnetic moment = 0.000 μB/cell; E = -136.0 eV/f.u.
1.0
-2.404 0.653 -8.785
-5.875 -3.402 6.088
-8.131 20.818 3.787
Na Ca Nb P O
12 6 6 18 72
Direct
0.983 0.639 0.246
0.983 0.344 0.746
0.649 0.972 0.580
0.649 0.677 0.080
0.316 0.306 0.913
0.316 0.010 0.413
0.995 0.001 0.492
0.995 0.994 0.992
0.662 0.335 0.826
0.662 0.327 0.326
0.328 0.668 0.159
0.328 0.660 0.659
0.992 0.006 0.353
0.992 0.986 0.853
0.658 0.339 0.687
0.658 0.319 0.187
0.325 0.672 0.020
0.325 0.653 0.520
0.005 0.995 0.649
0.005 0.010 0.149
0.672 0.328 0.982
0.672 0.344 0.482
0.339 0.662 0.315
0.339 0.677 0.815
0.289 0.984 0.255
0.701 0.713 0.249
0.017 0.309 0.251
0.289 0.304 0.755
0.017 0.708 0.751
0.701 0.987 0.749
0.955 0.318 0.588
0.367 0.047 0.583
0.684 0.642 0.585
0.955 0.638 0.088
0.684 0.042 0.085
0.367 0.321 0.083
0.622 0.651 0.921
0.034 0.380 0.916
0.350 0.976 0.918
0.622 0.971 0.421
0.350 0.375 0.418
0.034 0.654 0.416
0.211 0.996 0.312
0.810 0.794 0.302
0.993 0.210 0.306
0.211 0.215 0.812
0.993 0.783 0.806
0.810 0.017 0.802
0.794 0.963 0.692
0.162 0.192 0.701
0.029 0.825 0.695
0.794 0.831 0.192
0.029 0.204 0.195
0.162 0.971 0.201
0.878 0.330 0.645
0.477 0.127 0.636
0.659 0.543 0.639
0.878 0.548 0.145
0.659 0.116 0.139
0.477 0.350 0.136
0.461 0.296 0.026
0.829 0.525 0.034
0.696 0.158 0.028
0.461 0.164 0.526
0.696 0.538 0.528
0.829 0.304 0.534
0.544 0.663 0.979
0.144 0.460 0.969
0.326 0.876 0.973
0.544 0.881 0.479
0.326 0.450 0.473
0.144 0.684 0.469
0.127 0.630 0.359
0.496 0.858 0.367
0.363 0.492 0.362
0.127 0.497 0.859
0.363 0.871 0.862
0.496 0.637 0.867
0.005 0.802 0.408
0.800 0.006 0.414
0.213 0.192 0.410
0.005 0.202 0.908
0.213 0.021 0.910
0.800 0.794 0.914
0.950 0.140 0.587
0.192 0.042 0.590
0.860 0.814 0.587
0.950 0.810 0.087
0.860 0.046 0.087
0.192 0.150 0.090
0.672 0.136 0.742
0.467 0.339 0.747
0.880 0.525 0.743
0.672 0.536 0.242
0.880 0.354 0.243
0.467 0.128 0.247
0.617 0.474 0.920
0.858 0.375 0.923
0.527 0.147 0.920
0.617 0.143 0.420
0.527 0.380 0.420
0.858 0.483 0.423
0.338 0.469 0.075
0.133 0.672 0.080
0.546 0.859 0.077
0.338 0.869 0.575
0.546 0.688 0.577
0.133 0.461 0.580
0.284 0.807 0.253
0.525 0.709 0.257
0.193 0.481 0.254
0.284 0.476 0.753
0.193 0.713 0.754
0.525 0.816 0.757

=====

# 7
Na7Ca3NbP6O24 PBE optimized geometry; space group = P1; total magnetic moment = 0.000 μB/cell; E = -277.2 eV/f.u.
1.0
9.380 0.000 0.000
-4.689 8.145 0.000
-0.010 -0.007 22.819
Na Ca Nb P O
21 9 3 18 72
Direct
0.000 0.000 0.000
0.000 0.255 0.501
0.004 0.630 0.265
0.030 0.310 0.182
0.319 0.596 0.677
0.324 0.975 0.182
0.326 0.947 0.836
0.337 0.296 0.087
0.338 0.660 0.337
0.339 0.280 0.590
0.380 0.999 0.501
0.381 0.635 0.001
0.631 0.635 0.501
0.633 0.256 0.000
0.658 0.604 0.182
0.671 0.963 0.411
0.687 0.982 0.919
0.692 0.639 0.837
0.701 0.297 0.338
0.974 0.933 0.337
0.992 0.615 0.756
0.004 0.630 0.404
0.006 0.623 0.899
0.331 0.294 0.930
0.332 0.288 0.735
0.337 0.296 0.241
0.338 0.297 0.437
0.670 0.963 0.073
0.671 0.964 0.265
0.674 0.968 0.573
0.004 0.629 0.101
0.680 0.971 0.765
0.999 0.630 0.607
0.006 0.335 0.004
0.007 0.924 0.505
0.022 0.990 0.836
0.027 0.293 0.336
0.295 0.627 0.507
0.298 0.927 0.001
0.341 0.990 0.336
0.353 0.618 0.831
0.354 0.653 0.165
0.364 0.950 0.666
0.638 0.286 0.835
0.644 0.607 0.336
0.677 0.280 0.164
0.679 0.670 0.666
0.708 0.627 0.001
0.709 0.339 0.505
0.967 0.273 0.664
0.981 0.956 0.164
0.001 0.797 0.156
0.006 0.445 0.059
0.008 0.807 0.558
0.010 0.449 0.336
0.073 0.075 0.897
0.116 0.281 0.391
0.122 0.302 0.279
0.143 0.310 0.676
0.151 0.084 0.790
0.156 0.104 0.171
0.171 0.087 0.512
0.171 0.335 0.007
0.175 0.635 0.157
0.179 0.625 0.561
0.183 0.808 0.054
0.185 0.816 0.336
0.193 0.778 0.667
0.214 0.660 0.834
0.217 0.642 0.450
0.221 0.837 0.944
0.297 0.464 0.512
0.300 0.091 0.008
0.326 0.478 0.171
0.332 0.075 0.279
0.333 0.091 0.676
0.335 0.514 0.777
0.353 0.091 0.391
0.387 0.549 0.888
0.427 0.764 0.219
0.449 0.964 0.608
0.457 0.732 0.109
0.470 0.777 0.510
0.472 0.948 0.007
0.473 0.931 0.717
0.498 0.972 0.335
0.522 0.794 0.821
0.528 0.307 0.171
0.529 0.503 0.677
0.538 0.309 0.787
0.542 0.465 0.006
0.543 0.238 0.894
0.543 0.518 0.391
0.545 0.338 0.512
0.558 0.512 0.279
0.653 0.126 0.818
0.654 0.177 0.109
0.659 0.740 0.609
0.662 0.781 0.335
0.686 0.165 0.510
0.686 0.779 0.007
0.701 0.795 0.718
0.717 0.209 0.219
0.798 0.640 0.944
0.799 0.414 0.448
0.810 0.437 0.837
0.818 0.624 0.336
0.824 0.627 0.054
0.827 0.458 0.558
0.836 0.461 0.157
0.842 0.159 0.715
0.843 0.657 0.664
0.850 0.982 0.820
0.853 0.137 0.335
0.856 0.160 0.008
0.857 0.948 0.510
0.870 0.917 0.219
0.901 0.980 0.110
0.903 0.188 0.606
0.972 0.445 0.666
0.983 0.809 0.836
0.989 0.419 0.950
0.992 0.834 0.448

=====

What is the formula in the first record? Ca2WN2